DFT (PBE-GGA) results for a relaxed Na8TiZn3Si3S3O24 crystal.

extended XYZ file:
```
126
Lattice="-2.7994 -2.6110 -8.2722 5.6508 -5.4157 4.7273 -17.1561 -10.5240 8.9825" Properties=species:S:1:pos:R:3 pbc="T T T"
Na -0.5563 -9.7490 1.8248
Na -3.1542 -5.5616 0.8896
Na -0.8143 -6.0239 5.1881
Na -10.7620 -12.9004 4.3332
Na -13.6590 -12.3287 0.2482
Na -13.6794 -8.8816 3.5448
Na -8.9729 -8.7602 4.2920
Na -5.9089 -10.0205 8.1553
Na -6.4899 -12.9512 4.3027
Na 3.3036 -6.6919 2.8277
Na 0.6135 -6.3636 -1.4218
Na 0.4436 -2.8705 1.9227
Na -14.6892 -15.9264 3.3053
Na -17.3179 -11.6583 2.4796
Na -15.0433 -12.0503 7.0583
Na -8.0940 -8.5247 -2.8308
Na -8.1100 -5.3483 1.1418
Na -5.4133 -10.0738 1.2218
Na -5.8004 -13.1732 0.9430
Na -17.1210 -10.6214 8.8883
Na -14.3334 -12.1918 3.4304
Na -5.8241 -7.1387 -1.0056
Na 0.0476 -6.0563 1.8731
Na -8.3956 -11.5238 6.2078
Ti -16.8273 -13.9289 4.9069
Ti -8.2742 -8.6179 0.4606
Ti -11.1223 -13.2117 7.8396
Zn -3.2634 -11.6314 -0.3533
Zn -14.4900 -9.0671 7.7092
Zn -8.2615 -14.5667 2.3166
Zn 3.1693 -6.9368 5.8679
Zn -11.5971 -10.5042 2.1523
Zn -2.7863 -5.3935 -2.3541
Zn 2.5710 -4.4706 0.7256
Zn -5.8344 -10.1403 5.0357
Zn -2.8930 -8.2159 3.6138
Si -9.2218 -15.1375 5.6528
Si -10.8754 -7.3164 2.4332
Si -8.3851 -11.2404 2.7291
Si -0.6228 -6.8134 -4.1971
Si -0.5793 -3.6926 -0.7128
Si -13.7553 -11.7749 9.7110
Si -11.2520 -15.8148 10.0814
Si -3.4174 -11.3458 3.0478
Si -3.5166 -8.0292 6.6239
S -5.0997 -3.4027 -0.2256
S -2.2680 -8.2622 -0.2401
S -5.4173 -6.7878 -4.6762
S -12.0158 -10.3634 5.7267
S -8.9667 -11.7733 10.0336
S -10.8015 -10.4483 -1.1107
S -3.0620 -2.8785 -4.5633
S -13.7469 -14.8650 6.2189
S -5.9756 -7.2611 2.6934
O -5.6985 -3.8683 1.0533
O -3.0057 -9.5536 -0.1708
O -6.9014 -6.8311 -4.5664
O -13.3323 -10.1643 6.3820
O -12.1924 -15.3389 2.7925
O -16.0910 -10.7721 0.6865
O -8.6508 -14.4718 4.2691
O -11.2305 -9.1086 5.6911
O -7.5032 -11.8089 9.7865
O -0.9668 -8.4349 -0.9513
O -2.1811 -3.1516 2.6021
O 1.7023 -7.9023 4.7500
O -11.4406 -10.9868 0.1136
O -11.8235 -8.6230 2.3745
O -9.9995 -11.3231 2.9001
O -2.1160 -6.6532 -3.5805
O -3.5348 -3.7942 -3.4966
O -1.8367 -4.7100 -0.8719
O -0.0369 -3.2578 -2.2710
O 0.0825 -5.2465 -4.2093
O -1.5535 -2.9340 -4.6841
O -9.4812 -7.6880 1.5535
O -8.0616 -10.0771 1.5573
O -9.6660 -9.5202 -0.7605
O -14.3444 -15.3990 7.4574
O -14.7049 -13.0692 9.6268
O -12.8422 -15.7493 10.2767
O -4.9079 -11.0208 3.5860
O -6.3994 -8.1744 3.7696
O -4.6769 -9.0962 6.2530
O -2.9227 -7.2818 5.2699
O -2.4622 -9.9982 3.1124
O -4.4969 -7.3124 2.4733
O -12.3078 -12.1651 8.9198
O -10.8950 -14.6916 8.8381
O -12.6213 -13.9208 6.5361
O -2.4158 -8.8735 7.5065
O -9.3012 -6.5801 -3.1619
O -6.4440 -5.8951 3.0124
O -14.6488 -10.6005 9.0222
O -10.5120 -15.3449 11.4556
O -13.3179 -15.9922 5.3775
O -11.7341 -9.6268 -1.9238
O -10.3570 -6.8540 3.9259
O -7.7184 -12.6126 2.1198
O 0.4588 -7.7272 -3.3587
O -3.5627 -3.2599 -5.9069
O -0.9690 -2.2517 -0.0258
O -13.7897 -10.5344 1.8677
O -12.3227 -10.9163 4.3821
O -12.2611 -13.0377 2.1170
O -3.1822 -7.3050 -0.9445
O -4.9123 -6.4708 -3.2981
O -4.6817 -4.6309 -0.9722
O -14.7214 -14.0271 5.4224
O -16.1138 -13.9072 2.9790
O -16.3639 -11.8665 4.7979
O -8.2125 -7.0410 -0.7768
O -6.5794 -7.6509 1.3566
O -6.8610 -9.3395 -0.7546
O 0.5380 -4.5479 0.1065
O 1.8953 -4.8320 2.6073
O 2.1402 -6.9363 0.5119
O -6.1168 -11.5730 6.4413
O -7.7386 -10.7900 4.1588
O -7.5277 -8.9916 6.3784
O -0.4214 -8.0381 3.6739
O -1.9579 -7.7412 1.1235
O -2.0795 -5.4897 3.1334
O -11.1801 -11.3708 6.4850
O -9.5635 -12.1475 8.6683
O -9.8224 -13.7715 6.5160
```

## Properties
- Total moment: 0.00 μB/cell
- ΔH_f (0 K): -2.36 eV per atom
- Space group: P1 (1)

DFT (PBE-GGA) results for a relaxed Na10Ti6Zn2Si7S5O48 crystal.

extended XYZ file:
```
234
Lattice="17.7917 -0.0477 0.0419 -4.4686 7.7445 -0.0077 0.0536 0.0082 22.2040" Properties=species:S:1:pos:R:3 pbc="T T T"
Na 14.4671 0.0252 5.5601
Na 1.6853 2.8976 5.4918
Na 10.6299 2.7867 5.5824
Na 14.9604 4.7409 5.6084
Na 6.0094 4.8626 5.4662
Na 2.8813 4.7980 16.6461
Na 16.1419 2.7369 16.6135
Na 7.1773 2.8871 16.6783
Na 3.3538 0.1286 16.5872
Na 7.8075 7.7100 16.6188
Na 1.2239 2.5610 12.9149
Na -2.7914 5.3807 12.9753
Na 5.7132 5.1357 20.3822
Na 14.6508 5.2119 20.4718
Na 15.0481 0.1687 20.3661
Na 7.3828 2.3475 9.3462
Na 2.8128 0.2045 9.2733
Na 3.2698 5.1701 9.2163
Na 13.2404 7.6822 11.1204
Na 9.0654 0.0524 11.0893
Na 0.1652 0.0870 22.1799
Na 8.8804 0.0696 0.0528
Na 4.4562 2.4822 18.4631
Na 13.3125 2.5620 18.4653
Na 4.4916 2.5812 7.3379
Na 13.3210 2.5513 7.4027
Na 0.0726 5.2056 3.6104
Na 8.8266 5.1422 3.6265
Na 0.0407 5.2220 14.7473
Na 8.9782 5.1774 14.7335
Ti 13.2463 7.6662 7.9074
Ti 4.5968 7.6516 7.9293
Ti 0.0361 0.1514 19.0255
Ti 8.8859 -0.0010 18.9899
Ti 17.6921 0.1208 14.3588
Ti 4.4688 7.6313 14.4301
Ti 17.6844 0.0141 3.3342
Ti 4.4951 7.4636 3.2512
Ti 4.6229 2.4873 21.7876
Ti 13.3372 2.5871 21.6660
Ti 4.4207 2.4854 10.5839
Ti 13.3932 2.6129 10.6279
Ti 8.7661 5.0689 0.3450
Ti -0.0857 5.2025 11.4545
Ti 0.0923 5.1294 7.0312
Ti 8.8993 5.0551 7.0465
Ti -0.0268 5.2074 18.1348
Ti 8.9640 5.2484 18.1605
Zn 4.4889 2.4828 15.2862
Zn 13.4788 2.4639 15.1080
Zn 4.4707 2.7019 3.9739
Zn 13.3378 2.5471 4.2099
Zn -0.1189 5.1695 0.3087
Zn 8.8503 5.0431 11.4182
Si 7.0328 7.6765 5.5669
Si 3.1171 5.4879 5.6149
Si 12.0277 5.4762 5.5952
Si -1.2571 2.2717 5.5815
Si 1.2905 2.2847 16.6757
Si 5.7925 5.4837 16.7094
Si 1.8928 7.7036 16.6828
Si 10.7788 7.6665 16.7200
Si 15.9373 2.5580 12.9768
Si 3.2062 0.2813 13.0062
Si 5.7832 4.7937 1.8511
Si 11.4612 5.1313 20.4168
Si -1.2070 2.9432 20.4189
Si 7.6762 2.8719 20.3103
Si -1.2600 7.4745 20.3835
Si 7.5852 7.4002 20.3959
Si 1.3082 7.3727 9.2552
Si 1.2447 2.8853 9.2993
Si 10.2513 2.8620 9.3041
Si -2.5944 5.1454 9.1757
Si 6.3483 5.1558 9.3375
S -1.8888 7.7340 5.5321
S 7.6116 2.1742 5.5867
S 10.2035 2.2085 16.6647
S 14.6211 5.4663 16.7054
S 7.0996 2.5495 13.0001
S 12.0534 0.2785 12.9913
S 3.1923 4.8734 12.9485
S 12.0310 4.7733 13.0102
S 14.6223 4.8176 1.9204
S 5.7543 0.3005 1.9129
S 14.6539 0.2725 1.8789
S 1.8343 2.5573 1.8703
S 10.7397 2.5657 1.8785
S 2.6193 5.1475 20.3653
S 10.1752 7.3812 9.2947
O 1.7713 0.2174 6.7823
O 10.4971 0.2017 6.8331
O 3.8125 6.2339 6.8832
O 12.7437 6.2395 6.8645
O 7.8867 1.4295 6.8287
O 16.9154 1.2087 6.8575
O 0.9873 1.2491 17.8991
O 9.9904 1.3551 17.8715
O 5.1295 6.2711 17.9857
O 14.1026 6.1021 17.9276
O 7.4085 0.1549 17.9444
O 16.2209 0.1525 18.0141
O 2.9333 7.4698 15.3967
O 11.7642 7.4971 15.3934
O 0.6005 1.5707 15.3226
O 9.5836 1.5606 15.4615
O -3.3818 6.3237 15.4413
O 5.4941 6.5252 15.4141
O 3.4369 6.4117 4.2664
O 12.3411 6.5111 4.3183
O -0.5226 1.5131 4.2736
O 8.2324 1.5694 4.3947
O -2.7846 7.5285 4.3505
O 6.0069 7.4322 4.2791
O 6.2832 2.7221 14.2212
O 15.1749 2.9584 14.3409
O 3.8107 0.8945 14.3459
O 12.5537 0.8736 14.2681
O 3.4145 4.0768 14.1735
O 12.2710 3.9740 14.2236
O 5.6398 4.0262 3.2497
O 14.3358 4.0165 3.1278
O 5.1504 0.9078 3.1003
O 14.1176 0.8740 3.1111
O 2.5962 2.6937 3.1437
O 11.5160 2.7518 3.1224
O 2.7327 2.3667 0.7006
O 11.6669 2.3760 0.7079
O 5.0812 4.0397 0.5492
O 14.0497 4.1561 0.6897
O 5.4441 1.1654 0.6870
O 14.3956 1.1049 0.6734
O 3.4642 1.3014 11.6885
O 12.3240 1.1471 11.8205
O 3.7744 4.2392 11.7353
O 12.6716 4.1141 11.8075
O 6.2321 2.3798 11.7754
O 14.8872 2.3586 11.7305
O 1.8409 5.3805 21.5714
O 10.4965 5.4383 21.6785
O -0.5174 3.5101 21.7094
O 8.3328 3.5966 21.6234
O -1.1480 6.4862 21.6212
O 7.8598 6.3774 21.6245
O 1.0421 6.3774 10.5169
O 10.0048 6.5966 10.4918
O 0.6446 3.5938 10.6193
O 9.4625 3.4509 10.5460
O -1.6611 5.4403 10.5095
O 7.1858 5.4977 10.6196
O -1.6499 4.9083 7.8644
O 7.2918 4.8588 7.9788
O 0.5052 6.7053 7.9864
O 9.6065 6.7474 8.0488
O 1.0894 3.8710 7.9776
O 9.9585 3.8310 7.9379
O -1.0318 3.9021 19.0600
O 7.8442 3.8640 19.0126
O -0.5696 6.7300 19.0201
O 8.3640 6.7827 19.0672
O 1.7715 4.9746 19.1322
O 10.5152 4.8547 19.1004
O -3.4914 6.5116 9.0571
O 5.3011 6.4015 9.1129
O 2.8982 7.5927 9.1168
O 11.6665 7.5487 9.1220
O 0.6989 1.3713 9.0992
O 9.5163 1.4194 9.0136
O -0.6872 1.4028 20.2100
O 8.3292 1.3906 20.1896
O -2.8760 7.5601 20.0874
O 5.9837 7.4977 20.2199
O 3.5237 6.3458 20.2085
O 12.4733 6.3952 20.2303
O 7.9380 1.2943 13.0884
O 16.8908 1.1960 13.0449
O 1.5450 0.0986 13.0690
O 10.5353 0.1889 13.0905
O 3.8306 6.2342 13.0466
O 12.7689 6.0954 13.0892
O 5.0379 6.3047 1.9185
O 13.9646 6.1717 2.0013
O 7.2469 0.2693 1.9642
O 16.1788 0.1761 1.9740
O 0.9939 1.2913 1.9536
O 9.8732 1.3578 1.9505
O 5.4830 1.2914 16.6850
O 14.2757 1.2465 16.6604
O 2.8819 2.4567 16.6311
O 11.6685 2.3413 16.5415
O 5.0778 4.0578 16.5661
O 14.0599 4.1008 16.6398
O 3.7711 3.9875 5.5498
O 12.7107 4.0311 5.5085
O 6.1512 2.3792 5.5084
O 14.9407 2.3141 5.5222
O 3.4288 1.1892 5.4108
O 12.4178 1.2475 5.4808
O 3.5057 3.9515 20.4211
O 12.4628 3.8154 20.6132
O 6.0320 2.7835 20.5506
O 14.9068 2.7466 20.5950
O 3.8672 1.2264 20.5634
O 12.8056 1.1057 20.6314
O 5.0763 1.1239 9.4468
O 14.0237 0.9910 9.3643
O 2.9142 2.7791 9.4392
O 11.8713 2.6631 9.4753
O 5.3891 3.7907 9.4429
O 14.2676 3.7710 9.4636
O 0.9793 3.7532 1.7556
O 9.9071 3.7849 1.7061
O -1.7025 5.0188 1.8018
O 7.4059 5.0166 1.6674
O 0.7320 6.6907 1.7172
O 9.6221 6.6595 1.7456
O -0.6409 6.5173 12.7734
O 8.1933 6.6909 12.8799
O 1.7150 4.9997 12.8264
O 10.5940 5.0010 12.8402
O -0.8176 3.8780 12.7550
O 7.9737 3.7336 12.9088
O -1.0914 6.4863 5.6229
O 7.9259 6.3086 5.7240
O 1.4812 5.3633 5.6935
O 10.3905 5.3975 5.6981
O -0.5493 3.7417 5.6505
O 8.2713 3.5683 5.6678
O 0.5352 3.7395 16.8158
O 9.5223 3.5164 16.7737
O -1.6416 5.3990 16.7440
O 7.4233 5.3640 16.7705
O 1.0039 6.3230 16.7787
O 9.8388 6.3215 16.7974
```

## Properties
- Total moment: 0.00 μB/cell
- ΔH_f (0 K): -2.67 eV per atom
- Space group: P1 (1)